Record 1
VASP calculation (PBE) on Pm3Cr after structural relaxation.

Output
space-group type = No. 139

Geometry as CIF:
```
data_Pm3Cr
_chemical_formula_sum 'Pm3 Cr1'
_space_group_name_H-M_alt 'P 1'
_space_group_IT_number 1
_space_group_name_Hall 'P 1'
_cell_length_a 6.065
_cell_length_b 6.065
_cell_length_c 6.065
_cell_angle_alpha 133.16
_cell_angle_beta 133.16
_cell_angle_gamma 68.41
loop_
_atom_site_label
_atom_site_type_symbol
_atom_site_fract_x
_atom_site_fract_y
_atom_site_fract_z
Pm1 Pm 0.750 0.250 0.500
Pm2 Pm 0.250 0.750 0.500
Pm3 Pm 0.500 0.500 0.000
Cr1 Cr 0.000 0.000 0.000
```

=====

Record 2
VASP calculation (PBE) on Pr3CrS6 after structural relaxation.

Output
MP2020-corrected energy = -6.890 eV/atom
space-group type = No. 58

Geometry as CIF:
```
data_Pr3CrS6
_chemical_formula_sum 'Pr12 Cr4 S24'
_space_group_name_H-M_alt 'P 1'
_space_group_IT_number 1
_space_group_name_Hall 'P 1'
_cell_length_a 3.934
_cell_length_b 13.751
_cell_length_c 16.363
_cell_angle_alpha 90.00
_cell_angle_beta 90.00
_cell_angle_gamma 90.00
loop_
_atom_site_label
_atom_site_type_symbol
_atom_site_fract_x
_atom_site_fract_y
_atom_site_fract_z
Pr1 Pr 0.000 0.551 0.282
Pr2 Pr 0.000 0.449 0.718
Pr3 Pr 0.500 0.949 0.782
Pr4 Pr 0.500 0.051 0.218
Pr5 Pr 0.000 0.758 0.096
Pr6 Pr 0.000 0.242 0.904
Pr7 Pr 0.500 0.742 0.596
Pr8 Pr 0.500 0.258 0.404
Pr9 Pr 0.000 0.319 0.148
Pr10 Pr 0.000 0.681 0.852
Pr11 Pr 0.500 0.181 0.648
Pr12 Pr 0.500 0.819 0.352
Cr1 Cr 0.000 0.000 0.500
Cr2 Cr 0.500 0.500 0.000
Cr3 Cr 0.000 0.000 0.000
Cr4 Cr 0.500 0.500 0.500
S1 S 0.000 0.122 0.102
S2 S 0.000 0.878 0.898
S3 S 0.500 0.378 0.602
S4 S 0.500 0.622 0.398
S5 S 0.000 0.186 0.289
S6 S 0.000 0.814 0.711
S7 S 0.500 0.314 0.789
S8 S 0.500 0.686 0.211
S9 S 0.000 0.175 0.519
S10 S 0.000 0.825 0.481
S11 S 0.500 0.325 0.019
S12 S 0.500 0.675 0.981
S13 S 0.000 0.524 0.094
S14 S 0.000 0.476 0.906
S15 S 0.500 0.976 0.594
S16 S 0.500 0.024 0.406
S17 S 0.000 0.104 0.756
S18 S 0.000 0.896 0.244
S19 S 0.500 0.396 0.256
S20 S 0.500 0.604 0.744
S21 S 0.000 0.421 0.430
S22 S 0.000 0.579 0.570
S23 S 0.500 0.079 0.930
S24 S 0.500 0.921 0.070
```

=====

Record 3
VASP calculation (PBE) on PrCrSb3 after structural relaxation.

Output
MP2020-corrected energy = -5.936 eV/atom
space-group type = No. 57

Geometry as CIF:
```
data_PrCrSb3
_chemical_formula_sum 'Pr4 Cr4 Sb12'
_space_group_name_H-M_alt 'P 1'
_space_group_IT_number 1
_space_group_name_Hall 'P 1'
_cell_length_a 6.108
_cell_length_b 6.243
_cell_length_c 13.223
_cell_angle_alpha 90.00
_cell_angle_beta 90.00
_cell_angle_gamma 90.00
loop_
_atom_site_label
_atom_site_type_symbol
_atom_site_fract_x
_atom_site_fract_y
_atom_site_fract_z
Pr1 Pr 0.250 0.504 0.308
Pr2 Pr 0.750 0.496 0.692
Pr3 Pr 0.250 0.004 0.692
Pr4 Pr 0.750 0.996 0.308
Cr1 Cr 0.000 0.750 0.908
Cr2 Cr 0.000 0.250 0.092
Cr3 Cr 0.500 0.250 0.092
Cr4 Cr 0.500 0.750 0.908
Sb1 Sb 0.000 0.750 0.501
Sb2 Sb 0.000 0.250 0.499
Sb3 Sb 0.500 0.250 0.499
Sb4 Sb 0.500 0.750 0.501
Sb5 Sb 0.250 0.599 0.061
Sb6 Sb 0.750 0.401 0.939
Sb7 Sb 0.250 0.099 0.939
Sb8 Sb 0.750 0.901 0.061
Sb9 Sb 0.250 0.000 0.217
Sb10 Sb 0.750 0.000 0.783
Sb11 Sb 0.250 0.500 0.783
Sb12 Sb 0.750 0.500 0.217
```

=====

Record 4
VASP calculation (PBE) on CrPt after structural relaxation.

Output
space-group type = No. 123

Geometry as CIF:
```
data_CrPt
_chemical_formula_sum 'Cr1 Pt1'
_space_group_name_H-M_alt 'P 1'
_space_group_IT_number 1
_space_group_name_Hall 'P 1'
_cell_length_a 2.669
_cell_length_b 2.669
_cell_length_c 3.857
_cell_angle_alpha 90.00
_cell_angle_beta 90.00
_cell_angle_gamma 90.00
loop_
_atom_site_label
_atom_site_type_symbol
_atom_site_fract_x
_atom_site_fract_y
_atom_site_fract_z
Cr1 Cr 0.000 0.000 0.000
Pt1 Pt 0.500 0.500 0.500
```

=====

Record 5
VASP calculation (PBE) on CrPt after structural relaxation.

Output
space-group type = No. 166

Geometry as CIF:
```
data_CrPt
_chemical_formula_sum 'Cr1 Pt1'
_space_group_name_H-M_alt 'P 1'
_space_group_IT_number 1
_space_group_name_Hall 'P 1'
_cell_length_a 4.627
_cell_length_b 4.627
_cell_length_c 4.627
_cell_angle_alpha 34.00
_cell_angle_beta 34.00
_cell_angle_gamma 34.00
loop_
_atom_site_label
_atom_site_type_symbol
_atom_site_fract_x
_atom_site_fract_y
_atom_site_fract_z
Cr1 Cr 0.000 0.000 0.000
Pt1 Pt 0.500 0.500 0.500
```

=====

Record 6
VASP calculation (PBE) on CrPt4 after structural relaxation.

Output
space-group type = No. 166

Geometry as CIF:
```
data_CrPt4
_chemical_formula_sum 'Cr1 Pt4'
_space_group_name_H-M_alt 'P 1'
_space_group_IT_number 1
_space_group_name_Hall 'P 1'
_cell_length_a 11.406
_cell_length_b 11.406
_cell_length_c 11.406
_cell_angle_alpha 13.96
_cell_angle_beta 13.96
_cell_angle_gamma 13.96
loop_
_atom_site_label
_atom_site_type_symbol
_atom_site_fract_x
_atom_site_fract_y
_atom_site_fract_z
Cr1 Cr 0.000 0.000 0.000
Pt1 Pt 0.606 0.606 0.606
Pt2 Pt 0.202 0.202 0.202
Pt3 Pt 0.798 0.798 0.798
Pt4 Pt 0.394 0.394 0.394
```

=====

In meV/atom, the energy of formation values for the records above are, in order, 361.6, -2008.7, -572.2, -123.5, 49.3, -93.2.